Record 1
Ti3Al: optimized geometry, PBE.

a b c (Å): 5.751 5.751 4.655
angles (deg): 90.00 90.00 120.00
Positions (direct):
Ti1 0.170 0.339 0.250
Ti2 0.170 0.830 0.250
Ti3 0.339 0.170 0.750
Ti4 0.661 0.830 0.250
Ti5 0.830 0.170 0.750
Ti6 0.830 0.661 0.750
Al1 0.333 0.667 0.750
Al2 0.667 0.333 0.250

Record 2
Ti5Al11: optimized geometry, PBE.

a b c (Å): 3.921 3.921 16.466
angles (deg): 90.00 90.00 90.00
Positions (direct):
Ti1 0.000 0.000 0.000
Ti2 0.000 0.000 0.238
Ti3 0.500 0.500 0.255
Ti4 0.500 0.500 0.497
Ti5 0.500 0.500 0.738
Al1 0.000 0.000 0.495
Al2 0.000 0.000 0.746
Al3 0.000 0.500 0.122
Al4 0.000 0.500 0.370
Al5 0.000 0.500 0.620
Al6 0.000 0.500 0.870
Al7 0.500 0.000 0.122
Al8 0.500 0.000 0.370
Al9 0.500 0.000 0.620
Al10 0.500 0.000 0.870
Al11 0.500 0.500 0.996

Record 3
TiAl: optimized geometry, PBE.

a b c (Å): 3.179 3.179 3.179
angles (deg): 90.00 90.00 90.00
Positions (direct):
Ti1 0.000 0.000 0.000
Al1 0.500 0.500 0.500

Record 4
TiAl: optimized geometry, PBE.

a b c (Å): 2.824 2.824 4.065
angles (deg): 90.00 90.00 90.00
Positions (direct):
Ti1 0.000 0.000 0.000
Al1 0.500 0.500 0.500

Number 1: calculated formation energy -279 meV per atom. Number 2: calculated formation energy -406 meV per atom. Number 3: calculated formation energy -266 meV per atom. Number 4: calculated formation energy -407 meV per atom.